PBE+U Sr51W12N56O3, optimized geometry; size of the total moment = 0.000 μB/atom; calculated volume = 18.6 Å³ per atom; space group = No. 2; DFT total energy = -757.908 eV/cell
1.0
11.235 0.000 0.000
-4.470 12.406 0.000
-1.578 -4.487 16.309
Sr W N O
51 12 56 3
Direct
0.000 0.000 0.000
0.009 0.953 0.200
0.025 0.863 0.404
0.067 0.822 0.848
0.079 0.641 0.670
0.087 0.689 0.249
0.124 0.656 0.457
0.142 0.578 0.857
0.150 0.503 0.066
0.203 0.454 0.526
0.216 0.326 0.902
0.237 0.280 0.098
0.238 0.233 0.299
0.255 0.186 0.506
0.285 0.134 0.722
0.310 0.045 0.123
0.320 0.982 0.326
0.355 0.958 0.544
0.356 0.902 0.747
0.359 0.858 0.948
0.396 0.801 0.164
0.406 0.764 0.374
0.422 0.666 0.768
0.456 0.608 0.976
0.466 0.523 0.402
0.479 0.570 0.182
0.521 0.430 0.818
0.534 0.477 0.598
0.544 0.392 0.024
0.578 0.334 0.232
0.594 0.236 0.626
0.604 0.199 0.836
0.641 0.142 0.052
0.644 0.098 0.253
0.645 0.042 0.456
0.680 0.018 0.674
0.690 0.955 0.877
0.715 0.866 0.278
0.745 0.814 0.494
0.762 0.767 0.701
0.763 0.720 0.902
0.784 0.674 0.098
0.797 0.546 0.474
0.850 0.497 0.934
0.858 0.422 0.143
0.876 0.344 0.543
0.913 0.311 0.751
0.921 0.359 0.330
0.933 0.178 0.152
0.975 0.137 0.596
0.991 0.047 0.800
0.030 0.901 0.615
0.095 0.742 0.068
0.218 0.380 0.716
0.224 0.485 0.265
0.372 0.119 0.943
0.482 0.755 0.591
0.518 0.245 0.409
0.628 0.881 0.057
0.776 0.515 0.735
0.782 0.620 0.284
0.905 0.258 0.932
0.970 0.099 0.385
0.010 0.389 0.905
0.020 0.209 0.990
0.039 0.243 0.463
0.065 0.392 0.197
0.099 0.435 0.670
0.111 0.055 0.356
0.118 0.899 0.714
0.122 0.244 0.740
0.136 0.114 0.156
0.161 0.014 0.578
0.184 0.850 0.172
0.213 0.009 0.945
0.218 0.515 0.379
0.218 0.699 0.013
0.256 0.739 0.804
0.287 0.622 0.231
0.300 0.690 0.584
0.315 0.481 0.820
0.331 0.354 0.641
0.349 0.418 0.248
0.350 0.457 0.043
0.384 0.227 0.879
0.436 0.347 0.447
0.441 0.201 0.056
0.443 0.172 0.296
0.464 0.131 0.469
0.480 0.085 0.686
0.483 0.045 0.905
0.517 0.955 0.095
0.520 0.915 0.314
0.536 0.869 0.531
0.557 0.828 0.704
0.559 0.799 0.944
0.564 0.653 0.553
0.616 0.773 0.121
0.650 0.543 0.957
0.651 0.582 0.752
0.669 0.646 0.359
0.685 0.519 0.180
0.700 0.310 0.416
0.713 0.378 0.769
0.744 0.261 0.196
0.782 0.301 0.987
0.782 0.485 0.621
0.787 0.991 0.055
0.816 0.150 0.828
0.839 0.986 0.422
0.864 0.886 0.844
0.878 0.756 0.260
0.882 0.101 0.286
0.889 0.945 0.644
0.901 0.565 0.330
0.935 0.608 0.803
0.961 0.757 0.537
0.980 0.791 0.010
0.990 0.611 0.095
0.000 0.000 0.500
0.223 0.821 0.394
0.777 0.179 0.606

PBE+U Te2W2N2O, optimized geometry; size of the total moment = 0.286 μB/atom; calculated volume = 28.2 Å³ per atom; space group = No. 44; DFT total energy = -39.560 eV/cell
1.0
-3.990 4.147 2.984
3.990 -4.147 2.984
3.990 4.147 -2.984
Te W N O
2 2 2 1
Direct
0.172 0.000 0.172
0.828 0.000 0.828
0.806 0.075 0.270
0.806 0.536 0.730
0.518 0.263 0.745
0.518 0.773 0.255
0.914 0.414 0.500